[1]
# Tb3Al12Ru4 (r²SCAN, optimized geometry)
# Theoretical density in g/cm3: 6.3
# Total moment in μB per cell: 0.0
# VASP energy in eV per atom: -15.265
# Energy of formation in eV/atom: -0.730
data_Tb3Al12Ru4
_symmetry_space_group_name_H-M 'P 63/m m c'
_symmetry_Int_Tables_number 194
_symmetry_space_group_name_Hall '-P 6c 2c'
_cell_length_a 8.7714
_cell_length_b 8.7714
_cell_length_c 9.5224
_cell_angle_alpha 90.00
_cell_angle_beta 90.00
_cell_angle_gamma 120.00
loop_
_atom_site_label
_atom_site_type_symbol
_atom_site_fract_x
_atom_site_fract_y
_atom_site_fract_z
Tb1 Tb 0.1924 0.3849 0.2500
Al1 Al 0.0000 0.0000 0.2500
Al2 Al 0.1229 0.5615 0.7500
Al3 Al 0.1625 0.3251 0.5767
Al4 Al 0.3333 0.6667 0.0098
Ru1 Ru 0.0000 0.0000 0.0000
Ru2 Ru 0.0000 0.5000 0.0000

***

[2]
# Tm2CuIr (r²SCAN, optimized geometry)
# Theoretical density in g/cm3: 12.9
# Total moment in μB per cell: 0.0
# VASP energy in eV per atom: -34.099
# Energy of formation in eV/atom: -0.737
data_Tm2CuIr
_symmetry_space_group_name_H-M 'F m -3 m'
_symmetry_Int_Tables_number 225
_symmetry_space_group_name_Hall '-F 4 2 3'
_cell_length_a 6.743
_cell_length_b 6.743
_cell_length_c 6.743
_cell_angle_alpha 90.00
_cell_angle_beta 90.00
_cell_angle_gamma 90.00
loop_
_atom_site_label
_atom_site_type_symbol
_atom_site_fract_x
_atom_site_fract_y
_atom_site_fract_z
Tm1 Tm 0.250 0.250 0.250
Cu1 Cu 0.000 0.000 0.000
Ir1 Ir 0.000 0.000 0.500

***

[3]
# Cs2Bi4O7 (r²SCAN, optimized geometry)
# Theoretical density in g/cm3: 7.2
# Total moment in μB per cell: 0.0
# VASP energy in eV per atom: -26.503
# Energy of formation in eV/atom: -1.423
data_Cs2Bi4O7
_symmetry_space_group_name_H-M 'C 1 2/c 1'
_symmetry_Int_Tables_number 15
_symmetry_space_group_name_Hall '-C 2yc'
_cell_length_a 21.486
_cell_length_b 13.061
_cell_length_c 15.967
_cell_angle_alpha 90.00
_cell_angle_beta 95.89
_cell_angle_gamma 90.00
loop_
_atom_site_label
_atom_site_type_symbol
_atom_site_fract_x
_atom_site_fract_y
_atom_site_fract_z
Cs1 Cs 0.078 0.047 0.208
Cs2 Cs 0.087 0.448 0.712
Cs3 Cs 0.161 0.297 0.293
Cs4 Cs 0.177 0.199 0.794
Bi1 Bi 0.004 0.298 0.382
Bi2 Bi 0.013 0.225 0.880
Bi3 Bi 0.072 0.472 0.968
Bi4 Bi 0.100 0.009 0.961
Bi5 Bi 0.151 0.244 0.041
Bi6 Bi 0.179 0.220 0.536
Bi7 Bi 0.239 0.029 0.127
Bi8 Bi 0.245 0.455 0.612
O1 O 0.000 0.253 0.250
O2 O 0.000 0.271 0.750
O3 O 0.015 0.400 0.526
O4 O 0.043 0.445 0.355
O5 O 0.063 0.090 0.850
O6 O 0.067 0.158 0.024
O7 O 0.089 0.347 0.117
O8 O 0.091 0.322 0.900
O9 O 0.161 0.091 0.384
O10 O 0.163 0.073 0.609
O11 O 0.184 0.095 0.980
O12 O 0.188 0.163 0.154
O13 O 0.208 0.309 0.645
O14 O 0.233 0.349 0.474
O15 O 0.246 0.491 0.241

***

[4]
# VPCl9 (r²SCAN, optimized geometry)
# Theoretical density in g/cm3: 2.2
# Total moment in μB per cell: 4.0
# VASP energy in eV per atom: -8.117
# Energy of formation in eV/atom: -0.984
data_VPCl9
_symmetry_space_group_name_H-M 'C m m e'
_symmetry_Int_Tables_number 67
_symmetry_space_group_name_Hall '-C 2a 2'
_cell_length_a 11.939
_cell_length_b 16.514
_cell_length_c 6.213
_cell_angle_alpha 90.00
_cell_angle_beta 90.00
_cell_angle_gamma 90.00
loop_
_atom_site_label
_atom_site_type_symbol
_atom_site_fract_x
_atom_site_fract_y
_atom_site_fract_z
V1 V 0.000 0.250 0.117
P1 P 0.250 0.000 0.500
Cl1 Cl 0.000 0.109 0.118
Cl2 Cl 0.000 0.250 0.762
Cl3 Cl 0.156 0.068 0.682
Cl4 Cl 0.165 0.250 0.267

***

- The lowest energy of formation belongs to which entry?
  Cs2Bi4O7

***

Repeat the fourth record exactly.
# VPCl9 (r²SCAN, optimized geometry)
# Theoretical density in g/cm3: 2.2
# Total moment in μB per cell: 4.0
# VASP energy in eV per atom: -8.117
# Energy of formation in eV/atom: -0.984
data_VPCl9
_symmetry_space_group_name_H-M 'C m m e'
_symmetry_Int_Tables_number 67
_symmetry_space_group_name_Hall '-C 2a 2'
_cell_length_a 11.939
_cell_length_b 16.514
_cell_length_c 6.213
_cell_angle_alpha 90.00
_cell_angle_beta 90.00
_cell_angle_gamma 90.00
loop_
_atom_site_label
_atom_site_type_symbol
_atom_site_fract_x
_atom_site_fract_y
_atom_site_fract_z
V1 V 0.000 0.250 0.117
P1 P 0.250 0.000 0.500
Cl1 Cl 0.000 0.109 0.118
Cl2 Cl 0.000 0.250 0.762
Cl3 Cl 0.156 0.068 0.682
Cl4 Cl 0.165 0.250 0.267